1.
VASP calculation (GGA-PBE) on K3RuF6 after structural relaxation.

Results
DFT total energy ... -47.048 eV/cell

```
10
Lattice="3.961 -3.203 -4.433 4.078 6.198 3.346 -0.300 -6.303 2.198" Properties=species:S:1:pos:R:3 pbc="T T T"
Ru 0.000 0.000 0.000
F 4.441 0.563 3.727
F 3.298 -3.870 -2.616
K 1.889 -0.053 2.772
K 1.981 -1.601 -2.216
F 4.342 -7.879 -1.204
K -0.150 -3.152 1.099
F 6.071 -2.193 0.740
F 1.668 -1.115 0.372
F 3.397 4.571 2.315
```



2.
VASP calculation (GGA-PBE) on K3SbF6 after structural relaxation.

Results
DFT total energy ... -44.521 eV/cell

```
10
Lattice="0.000 4.731 4.731 4.731 0.000 4.731 4.731 4.731 0.000" Properties=species:S:1:pos:R:3 pbc="T T T"
F 4.731 4.731 7.266
F 2.196 4.731 4.731
F 4.731 7.266 4.731
K 7.097 7.097 7.097
F 4.731 4.731 2.196
F 4.731 2.196 4.731
K 2.366 2.366 2.366
Sb 0.000 0.000 0.000
F 7.266 4.731 4.731
K 4.731 4.731 4.731
```



3.
VASP calculation (GGA-PBE) on KSbF6 after structural relaxation.

Results
DFT total energy ... -148.693 eV/cell

```
32
Lattice="-5.199 5.199 5.199 5.199 -5.199 5.199 5.199 5.199 -5.199" Properties=species:S:1:pos:R:3 pbc="T T T"
F 1.992 6.347 1.498
F 1.148 1.498 3.207
F -3.207 6.347 3.701
K 0.000 0.000 0.000
F 6.347 3.701 -3.207
K 5.199 0.000 0.000
F 6.697 1.992 -1.148
F 4.051 3.701 1.992
F 1.992 -1.148 6.697
F 3.701 1.992 4.051
F 1.498 1.992 6.347
F 6.347 -1.498 3.207
F 1.498 8.407 -1.148
F 8.407 -1.148 1.498
F -1.148 1.498 8.407
F 3.207 6.347 -1.498
Sb 2.600 2.600 -2.600
F 1.992 4.051 3.701
F 3.207 1.148 1.498
Sb -2.600 2.600 2.600
F -1.498 3.207 6.347
F -1.148 6.697 1.992
K 0.000 0.000 5.199
Sb 2.600 -2.600 2.600
Sb 2.600 2.600 2.600
K 0.000 5.199 0.000
F 3.701 -3.207 6.347
F 1.498 3.207 1.148
F 3.207 -1.148 3.701
F 6.347 1.498 1.992
F -1.148 3.701 3.207
F 3.701 3.207 -1.148
```



4.
VASP calculation (GGA-PBE) on KSbF6 after structural relaxation.

Results
DFT total energy ... -74.341 eV/cell

```
16
Lattice="-0.304 0.331 5.254 -2.437 -4.674 0.153 9.074 -4.704 0.820" Properties=species:S:1:pos:R:3 pbc="T T T"
F 5.831 -7.843 1.798
F 0.503 -1.204 4.430
F -0.707 -1.120 1.395
F -0.851 -4.379 1.194
Sb 4.537 -2.352 0.410
F 2.840 -2.526 1.290
F -2.033 -3.223 4.012
F 7.185 -4.668 5.034
K 0.898 -3.347 2.909
K 5.435 -5.700 3.319
F 2.651 -5.735 1.879
Sb 0.000 0.000 0.000
F 3.683 -3.312 4.348
F 5.232 -3.766 1.506
F 3.494 -6.521 4.937
F 1.102 -5.281 4.721
```



5.
VASP calculation (GGA-PBE) on KSbF4 after structural relaxation.

Results
DFT total energy ... -226.414 eV/cell

```
48
Lattice="-3.900 1.423 -2.085 -5.382 -10.015 3.233 -4.949 7.245 14.200" Properties=species:S:1:pos:R:3 pbc="T T T"
F -3.208 -2.730 0.275
F -6.982 0.534 5.211
F -7.937 1.932 7.952
K -8.759 2.015 13.265
F -5.085 -6.222 1.402
F -5.866 -7.532 3.692
K -5.274 -5.700 5.975
F -3.937 3.060 8.653
K -4.108 3.588 4.273
F -6.492 -3.638 4.625
F -9.538 -1.046 8.914
Sb -6.575 -3.895 9.506
Sb -5.209 -1.124 -1.242
F -9.916 1.482 9.690
F -11.506 1.567 13.036
F -6.078 5.351 12.879
F -8.583 -2.444 6.173
F -7.892 -4.299 11.029
F -1.214 1.577 2.864
Sb -6.613 -1.711 5.299
F -7.452 -4.366 1.406
F -7.956 -6.339 5.239
F -5.858 2.768 6.357
F -10.078 4.223 12.178
F -10.495 -2.622 12.523
F -7.852 -1.539 3.768
F -6.382 5.030 10.052
F -6.025 -1.710 0.549
K -2.583 -0.692 4.358
F -3.041 1.748 6.083
K -7.749 -2.077 13.075
Sb -2.453 1.749 1.333
F -3.843 1.314 2.768
F -7.634 2.252 10.779
F -2.084 -0.496 1.420
F -6.996 -5.610 8.459
F -9.363 -3.754 8.463
K -5.058 2.930 11.459
F -8.903 -0.109 11.542
F -9.860 -1.686 15.151
K -4.958 -3.550 2.358
F -5.223 -1.276 3.863
Sb -8.167 0.564 9.757
Sb -3.857 1.162 7.873
Sb -7.873 -6.082 0.359
K -5.256 5.268 7.566
Sb -5.849 6.719 11.075
F -4.099 5.801 11.142
```



6.
VASP calculation (GGA-PBE) on KScF4 after structural relaxation.

Results
DFT total energy ... -146.926 eV/cell

```
24
Lattice="-1.039 -7.736 2.593 2.991 -7.453 1.778 2.691 -0.164 13.240" Properties=species:S:1:pos:R:3 pbc="T T T"
F 0.850 -0.733 3.943
F 3.229 -7.304 13.417
Sc 4.216 -14.920 15.654
F 4.145 -12.934 15.991
F 2.310 -1.678 10.832
Sc 1.272 -1.870 5.635
F 0.000 0.000 0.000
F 1.680 -2.761 7.342
Sc 0.426 -0.433 1.957
K 2.961 -9.829 11.218
F 3.466 -11.804 13.026
F 0.498 -2.419 1.620
F 1.177 -3.550 4.584
F 2.963 -12.592 10.269
F 2.410 -5.940 9.845
F 1.414 -8.049 4.193
K 2.802 -3.836 12.511
K 1.841 -11.517 5.099
F 2.233 -9.414 7.765
K 1.682 -5.524 6.392
F 1.346 -0.082 6.620
F 3.793 -14.620 13.667
F 2.332 -13.676 6.778
Sc 3.371 -13.483 11.975
```



7.
VASP calculation (GGA-PBE) on K5Sc3F14 after structural relaxation.

Results
DFT total energy ... -255.420 eV/cell

```
44
Lattice="7.990 0.000 0.000 0.000 7.990 0.000 0.000 0.000 12.023" Properties=species:S:1:pos:R:3 pbc="T T T"
K 6.205 2.210 9.017
Sc 3.995 3.995 6.011
F 1.421 3.714 10.616
K 6.205 2.210 3.006
F 0.000 0.000 2.015
F 7.709 5.416 7.418
K 2.210 1.785 3.006
F 0.282 2.574 7.418
F 4.277 1.421 1.407
F 7.709 5.416 4.605
F 6.008 7.498 0.000
K 1.785 5.780 9.017
F 5.416 0.282 4.605
F 6.569 4.277 10.616
F 1.982 0.492 0.000
F 0.492 6.008 0.000
F 7.498 1.982 0.000
F 3.995 3.995 8.027
F 4.277 1.421 10.616
K 5.780 6.205 9.017
F 0.282 2.574 4.605
Sc 3.995 0.000 0.000
K 0.000 0.000 6.011
F 2.574 7.709 4.605
F 3.714 6.569 10.616
F 3.503 2.013 6.011
F 2.574 7.709 7.418
F 4.487 5.977 6.011
K 2.210 1.785 9.017
F 5.977 3.503 6.011
F 3.714 6.569 1.407
Sc 0.000 3.995 0.000
F 3.995 3.995 3.996
K 3.995 3.995 0.000
F 0.000 0.000 10.008
F 2.013 4.487 6.011
Sc 0.000 3.995 6.011
Sc 3.995 0.000 6.011
F 5.416 0.282 7.418
F 1.421 3.714 1.407
F 6.569 4.277 1.407
K 5.780 6.205 3.006
Sc 0.000 0.000 0.000
K 1.785 5.780 3.006
```



8.
VASP calculation (GGA-PBE) on KSc2F7 after structural relaxation.

Results
DFT total energy ... -64.525 eV/cell

```
10
Lattice="3.303 -5.387 0.000 3.303 5.387 0.000 0.000 0.000 4.085" Properties=species:S:1:pos:R:3 pbc="T T T"
F 1.250 1.567 2.042
F 3.303 -2.167 0.000
Sc 3.303 -2.074 2.042
F 1.250 -1.567 2.042
F 3.303 0.000 2.042
F 5.356 1.567 2.042
Sc 3.303 2.074 2.042
K 0.000 0.000 0.000
F 3.303 2.167 0.000
F 5.356 -1.567 2.042
```



9.
VASP calculation (GGA-PBE) on K3ScF6 after structural relaxation.

Results
DFT total energy ... -53.703 eV/cell

```
10
Lattice="4.605 2.222 3.899 -0.449 5.926 2.455 -1.203 0.802 6.266" Properties=species:S:1:pos:R:3 pbc="T T T"
F -0.255 5.722 7.645
F -0.007 2.441 6.285
F 2.960 6.508 6.335
K 2.215 6.712 9.465
Sc 0.000 0.000 0.000
F 2.543 3.671 8.444
F 3.209 3.227 4.975
K 1.477 4.475 6.310
F 0.411 5.278 4.176
K 0.738 2.237 3.155
```



10.
VASP calculation (GGA-PBE) on K2SmF5 after structural relaxation.

Results
DFT total energy ... -176.478 eV/cell

```
32
Lattice="-3.217 -5.918 0.628 6.037 -2.937 3.251 -3.818 3.127 9.915" Properties=species:S:1:pos:R:3 pbc="T T T"
F -1.436 -4.727 11.234
Sm 1.230 -3.220 7.643
Sm 0.510 0.531 12.369
F 1.221 -4.914 6.130
F -1.169 0.645 10.735
F -0.525 -1.474 12.481
K 0.825 -3.715 3.618
F 0.798 -2.015 9.535
K -2.157 -2.264 2.012
K 0.344 0.476 8.296
F 1.544 -4.849 9.293
Sm -1.507 -6.258 1.425
F -2.541 -0.878 4.501
F -4.253 -3.159 9.323
K 1.159 -3.463 11.782
F 0.072 -2.150 5.908
F -3.338 -4.451 6.457
K -2.638 1.927 6.690
F 0.439 -1.000 2.560
K 1.640 -7.655 7.103
K -1.823 -2.013 10.176
F -0.472 -4.254 1.313
F -3.782 1.916 9.328
F -2.219 -0.814 7.663
F 0.171 -6.372 3.059
K -1.342 -6.204 5.498
F -1.795 -3.712 4.259
F 3.256 -2.569 4.470
F 2.340 -1.277 7.336
F -1.069 -3.578 7.886
Sm -2.228 -2.508 6.150
F 2.784 -7.643 4.466
```



11.
VASP calculation (GGA-PBE) on KSmF4 after structural relaxation.

Results
DFT total energy ... -142.355 eV/cell

```
24
Lattice="-0.330 3.502 -1.215 -5.877 0.167 2.076 5.065 5.305 13.914" Properties=species:S:1:pos:R:3 pbc="T T T"
F 0.781 4.284 3.588
Sm -4.360 3.069 1.481
F -4.666 1.728 3.398
K -0.691 1.994 3.085
F -0.539 2.890 5.626
F 2.547 5.584 6.852
F 1.620 5.239 11.809
Sm 0.505 5.003 5.735
K -3.144 2.586 5.456
F -1.621 5.195 6.863
F -0.290 6.135 14.910
Sm 3.218 5.905 13.294
F 3.525 7.246 11.377
F -2.702 1.262 1.521
F -0.603 6.084 9.149
F -0.852 2.839 -0.135
F -1.922 4.689 11.187
K 2.003 6.388 9.319
Sm -1.646 3.970 9.040
F 1.561 7.712 13.254
F -3.688 3.390 7.923
F -2.762 3.735 2.966
K -0.451 6.980 11.690
F 0.479 3.779 7.912
```



12.
VASP calculation (GGA-PBE) on K3SmF6 after structural relaxation.

Results
DFT total energy ... -51.324 eV/cell

```
10
Lattice="-3.642 -3.642 -4.648 3.642 -3.642 4.648 -3.642 3.642 4.648" Properties=species:S:1:pos:R:3 pbc="T T T"
Sm 0.000 0.000 0.000
F -5.034 0.000 0.000
K 0.000 0.000 4.648
F 0.000 -2.249 0.000
K -3.642 0.000 2.324
F 0.000 -5.034 0.000
F 0.000 0.000 2.256
F 0.000 0.000 7.040
F -2.249 0.000 0.000
K 0.000 -3.642 2.324
```



Respective formation enthalpy at 0 K values: -2482, -2735, -2240, -2240, -1665, -2265, -7991, -3916, -3408, -2887, -2311, -3334 kJ/mol of formula units.